Entry 1:
Na3YGaP3O12 after structural relaxation. Source: Materials Project, functional PBE-GGA.

Cell and atoms, written as POSCAR:
```
Na3YGaP3O12
1.0
-14.795 -4.454 -3.185
-0.386 -4.417 7.884
2.327 7.608 4.353
Na Y Ga P O
12 4 4 12 48
direct
0.241 0.774 0.996
0.750 0.723 0.509
0.751 0.271 0.011
0.240 0.224 0.494
0.504 0.097 0.763
0.501 0.911 0.238
0.005 0.608 0.753
0.999 0.385 0.240
0.818 0.933 0.218
0.814 0.072 0.714
0.301 0.430 0.192
0.311 0.561 0.723
0.106 0.762 0.555
0.603 0.261 0.557
0.397 0.749 0.442
0.607 0.740 0.058
0.900 0.750 0.946
0.901 0.251 0.449
0.100 0.245 0.048
0.395 0.253 0.941
0.998 0.962 0.754
0.996 0.054 0.235
0.490 0.434 0.749
0.489 0.550 0.230
0.358 0.910 0.775
0.663 0.891 0.752
0.657 0.113 0.248
0.348 0.108 0.242
0.864 0.402 0.758
0.146 0.385 0.748
0.144 0.596 0.232
0.861 0.594 0.259
0.156 0.557 0.745
0.860 0.575 0.764
0.856 0.422 0.260
0.148 0.423 0.223
0.673 0.062 0.749
0.348 0.081 0.770
0.341 0.937 0.234
0.667 0.941 0.245
0.427 0.525 0.573
0.548 0.538 0.911
0.543 0.456 0.400
0.431 0.450 0.059
0.929 0.055 0.576
0.059 0.064 0.918
0.066 0.964 0.407
0.926 0.950 0.070
0.270 0.827 0.767
0.754 0.816 0.761
0.751 0.181 0.259
0.253 0.182 0.224
0.772 0.332 0.748
0.241 0.320 0.760
0.234 0.661 0.230
0.770 0.667 0.250
0.360 0.867 0.611
0.666 0.858 0.921
0.661 0.144 0.419
0.360 0.159 0.092
0.865 0.363 0.591
0.146 0.354 0.916
0.158 0.628 0.413
0.865 0.639 0.097
0.460 0.862 0.948
0.559 0.840 0.580
0.552 0.167 0.076
0.445 0.154 0.427
0.963 0.343 0.932
0.046 0.327 0.572
0.040 0.661 0.070
0.958 0.649 0.437
0.073 0.856 0.750
0.920 0.863 0.765
0.920 0.150 0.253
0.068 0.160 0.218
0.570 0.327 0.760
0.408 0.341 0.753
0.404 0.647 0.218
0.572 0.655 0.248
```

- Total moment: 0.0 μB per formula unit
- Total energy after the MP2020 corrections: -7.26 eV per atom

=====

Entry 2:
Na3YGaP3O12 after structural relaxation. Source: Materials Project, functional PBE-GGA.

Cell and atoms, written as POSCAR:
```
Na3YGaP3O12
1.0
9.052 0.026 0.001
-4.504 7.814 0.001
0.003 0.004 22.652
Na Y Ga P O
18 6 6 18 72
direct
0.001 0.001 0.503
0.997 0.998 0.004
0.636 0.317 0.831
0.684 0.364 0.334
0.330 0.666 0.173
0.333 0.667 0.666
0.638 0.001 0.249
0.362 0.361 0.249
0.638 0.633 0.745
0.994 0.361 0.744
0.038 0.705 0.585
0.666 0.966 0.585
0.299 0.968 0.089
0.026 0.331 0.090
0.972 0.665 0.918
0.695 0.028 0.917
0.970 0.302 0.417
0.335 0.034 0.418
0.990 0.986 0.347
0.015 0.012 0.846
0.660 0.340 0.989
0.343 0.663 0.022
0.336 0.657 0.521
0.333 0.671 0.811
0.010 0.008 0.647
0.994 0.991 0.155
0.659 0.329 0.681
0.672 0.341 0.184
0.662 0.338 0.484
0.328 0.664 0.317
0.304 0.998 0.249
0.696 0.695 0.247
0.000 0.306 0.249
0.305 0.294 0.741
0.990 0.696 0.742
0.709 0.009 0.742
0.945 0.324 0.585
0.374 0.054 0.583
0.680 0.627 0.586
0.960 0.639 0.088
0.678 0.042 0.091
0.357 0.317 0.094
0.639 0.669 0.912
0.029 0.364 0.918
0.334 0.967 0.921
0.624 0.968 0.417
0.345 0.376 0.412
0.035 0.655 0.419
0.230 0.037 0.304
0.798 0.762 0.304
0.960 0.192 0.304
0.237 0.201 0.800
0.968 0.774 0.800
0.812 0.039 0.800
0.805 0.983 0.689
0.178 0.200 0.690
0.013 0.812 0.688
0.787 0.824 0.196
0.035 0.216 0.195
0.189 0.971 0.194
0.861 0.351 0.640
0.492 0.141 0.636
0.658 0.525 0.643
0.858 0.507 0.137
0.651 0.139 0.143
0.471 0.340 0.148
0.433 0.289 0.037
0.873 0.576 0.027
0.708 0.144 0.032
0.451 0.153 0.524
0.702 0.538 0.531
0.834 0.295 0.528
0.544 0.687 0.965
0.131 0.454 0.974
0.319 0.868 0.978
0.547 0.868 0.474
0.306 0.454 0.466
0.136 0.685 0.477
0.127 0.623 0.366
0.511 0.876 0.361
0.366 0.481 0.355
0.118 0.467 0.861
0.353 0.872 0.867
0.545 0.655 0.853
0.024 0.819 0.411
0.809 0.001 0.412
0.187 0.193 0.408
0.001 0.181 0.916
0.168 0.975 0.916
0.817 0.832 0.912
0.962 0.159 0.589
0.189 0.026 0.588
0.844 0.810 0.588
0.985 0.821 0.097
0.841 0.028 0.098
0.176 0.154 0.098
0.690 0.171 0.736
0.487 0.320 0.736
0.826 0.515 0.739
0.667 0.511 0.238
0.839 0.324 0.239
0.487 0.158 0.242
0.663 0.511 0.916
0.852 0.352 0.919
0.498 0.144 0.921
0.635 0.148 0.420
0.507 0.359 0.421
0.856 0.490 0.424
0.330 0.474 0.091
0.140 0.654 0.087
0.513 0.866 0.088
0.354 0.871 0.581
0.527 0.659 0.584
0.122 0.487 0.582
0.326 0.837 0.257
0.517 0.682 0.253
0.167 0.482 0.256
0.321 0.474 0.744
0.145 0.667 0.744
0.534 0.843 0.744
```

- Total moment: 0.0 μB per formula unit
- Total energy after the MP2020 corrections: -7.26 eV per atom